1.
Compound: Ba3Nb16O23
Source: the Materials Project database
Functional: r²SCAN
Structure: optimized geometry

- VASP energy: -17.112 eV/atom
- Energy of formation: -2.53 eV per atom

POSCAR file:
```
Ba3Nb16O23
1.0
6.288 -10.566 0.000
6.288 10.566 0.000
0.000 0.000 4.201
Ba Nb O
3 16 23
direct
0.000 0.000 0.000
0.201 0.799 0.000
0.799 0.201 0.000
0.068 0.270 0.500
0.138 0.528 0.500
0.227 0.431 0.000
0.270 0.068 0.500
0.327 0.327 0.500
0.399 0.601 0.500
0.431 0.227 0.000
0.472 0.862 0.500
0.528 0.138 0.500
0.569 0.773 0.000
0.601 0.399 0.500
0.673 0.673 0.500
0.730 0.932 0.500
0.773 0.569 0.000
0.862 0.472 0.500
0.932 0.730 0.500
0.034 0.634 0.500
0.062 0.260 0.000
0.103 0.897 0.500
0.140 0.540 0.000
0.159 0.159 0.500
0.260 0.062 0.000
0.299 0.701 0.500
0.334 0.334 0.000
0.366 0.966 0.500
0.403 0.597 0.000
0.460 0.860 0.000
0.500 0.500 0.500
0.540 0.140 0.000
0.597 0.403 0.000
0.634 0.034 0.500
0.666 0.666 0.000
0.701 0.299 0.500
0.740 0.938 0.000
0.841 0.841 0.500
0.860 0.460 0.000
0.897 0.103 0.500
0.938 0.740 0.000
0.966 0.366 0.500
```

***

2.
Compound: Ba3Nb2O8
Source: the Materials Project database
Functional: r²SCAN
Structure: optimized geometry

- VASP energy: -16.638 eV/atom
- Energy of formation: -3.04 eV per atom

POSCAR file:
```
Ba3Nb2O8
1.0
3.047 1.759 7.188
-3.047 1.759 7.188
0.000 -3.518 7.188
Ba Nb O
3 2 8
direct
0.000 0.000 0.000
0.200 0.200 0.200
0.800 0.800 0.800
0.406 0.406 0.406
0.594 0.594 0.594
0.231 0.732 0.732
0.268 0.268 0.769
0.268 0.769 0.268
0.320 0.320 0.320
0.680 0.680 0.680
0.732 0.231 0.732
0.732 0.732 0.231
0.769 0.268 0.268
```

***

3.
Compound: Ba2Nb5O9
Source: the Materials Project database
Functional: r²SCAN
Structure: optimized geometry

- VASP energy: -17.113 eV/atom
- Energy of formation: -2.71 eV per atom

POSCAR file:
```
Ba2Nb5O9
1.0
4.212 0.000 0.000
0.000 4.212 0.000
0.000 0.000 12.337
Ba Nb O
2 5 9
direct
0.000 0.000 0.169
0.000 0.000 0.831
0.000 0.500 0.500
0.500 0.000 0.500
0.500 0.500 0.000
0.500 0.500 0.338
0.500 0.500 0.662
0.000 0.000 0.500
0.000 0.500 0.000
0.000 0.500 0.327
0.000 0.500 0.673
0.500 0.000 0.000
0.500 0.000 0.327
0.500 0.000 0.673
0.500 0.500 0.161
0.500 0.500 0.839
```

***

4.
Compound: BaNb8O14
Source: the Materials Project database
Functional: r²SCAN
Structure: optimized geometry

- VASP energy: -16.053 eV/atom
- Energy of formation: -2.66 eV per atom

POSCAR file:
```
BaNb8O14
1.0
9.527 0.000 0.000
0.000 23.964 0.000
0.000 0.000 10.467
Ba Nb O
8 64 112
direct
0.007 0.136 0.013
0.007 0.364 0.513
0.493 0.636 0.013
0.493 0.864 0.513
0.507 0.136 0.487
0.507 0.364 0.987
0.993 0.636 0.487
0.993 0.864 0.987
0.117 0.124 0.665
0.117 0.376 0.165
0.117 0.501 0.660
0.117 0.999 0.160
0.118 0.620 0.161
0.118 0.880 0.661
0.123 0.682 0.927
0.123 0.818 0.427
0.124 0.183 0.424
0.124 0.317 0.924
0.125 0.067 0.424
0.125 0.433 0.924
0.125 0.567 0.922
0.125 0.933 0.422
0.139 0.747 0.685
0.139 0.753 0.185
0.361 0.247 0.685
0.361 0.253 0.185
0.375 0.067 0.922
0.375 0.433 0.422
0.375 0.567 0.424
0.375 0.933 0.924
0.376 0.683 0.424
0.376 0.817 0.924
0.377 0.182 0.927
0.377 0.318 0.427
0.382 0.120 0.161
0.382 0.380 0.661
0.383 0.001 0.660
0.383 0.499 0.160
0.383 0.624 0.665
0.383 0.876 0.165
0.617 0.124 0.835
0.617 0.376 0.335
0.617 0.501 0.840
0.617 0.999 0.340
0.618 0.620 0.339
0.618 0.880 0.839
0.623 0.682 0.573
0.623 0.818 0.073
0.624 0.183 0.076
0.624 0.317 0.576
0.625 0.067 0.076
0.625 0.433 0.576
0.625 0.567 0.578
0.625 0.933 0.078
0.639 0.747 0.815
0.639 0.753 0.315
0.861 0.247 0.815
0.861 0.253 0.315
0.875 0.067 0.578
0.875 0.433 0.078
0.875 0.567 0.076
0.875 0.933 0.576
0.876 0.683 0.076
0.876 0.817 0.576
0.877 0.182 0.573
0.877 0.318 0.073
0.882 0.120 0.339
0.882 0.380 0.839
0.883 0.001 0.840
0.883 0.499 0.340
0.883 0.624 0.835
0.883 0.876 0.335
0.000 0.000 0.000
0.000 0.000 0.500
0.000 0.500 0.000
0.000 0.500 0.500
0.007 0.563 0.747
0.007 0.689 0.239
0.007 0.811 0.739
0.007 0.937 0.247
0.009 0.063 0.246
0.009 0.437 0.746
0.010 0.687 0.751
0.010 0.813 0.251
0.012 0.747 0.018
0.012 0.753 0.518
0.230 0.000 0.318
0.230 0.500 0.818
0.240 0.125 0.846
0.240 0.375 0.346
0.241 0.061 0.084
0.241 0.439 0.584
0.243 0.563 0.587
0.243 0.625 0.342
0.243 0.688 0.095
0.243 0.812 0.595
0.243 0.875 0.842
0.243 0.937 0.087
0.245 0.749 0.338
0.245 0.751 0.838
0.249 0.688 0.589
0.249 0.812 0.089
0.251 0.188 0.589
0.251 0.312 0.089
0.255 0.249 0.338
0.255 0.251 0.838
0.257 0.063 0.587
0.257 0.125 0.342
0.257 0.188 0.095
0.257 0.312 0.595
0.257 0.375 0.842
0.257 0.437 0.087
0.259 0.561 0.084
0.259 0.939 0.584
0.260 0.625 0.846
0.260 0.875 0.346
0.270 0.000 0.818
0.270 0.500 0.318
0.488 0.247 0.018
0.488 0.253 0.518
0.490 0.187 0.751
0.490 0.313 0.251
0.491 0.563 0.246
0.491 0.937 0.746
0.493 0.063 0.747
0.493 0.189 0.239
0.493 0.311 0.739
0.493 0.437 0.247
0.500 0.000 0.000
0.500 0.000 0.500
0.500 0.500 0.000
0.500 0.500 0.500
0.507 0.563 0.753
0.507 0.689 0.261
0.507 0.811 0.761
0.507 0.937 0.253
0.509 0.063 0.254
0.509 0.437 0.754
0.510 0.687 0.749
0.510 0.813 0.249
0.512 0.747 0.482
0.512 0.753 0.982
0.730 0.000 0.182
0.730 0.500 0.682
0.740 0.125 0.654
0.740 0.375 0.154
0.741 0.061 0.416
0.741 0.439 0.916
0.743 0.563 0.913
0.743 0.625 0.158
0.743 0.688 0.405
0.743 0.812 0.905
0.743 0.875 0.658
0.743 0.937 0.413
0.745 0.749 0.162
0.745 0.751 0.662
0.749 0.688 0.911
0.749 0.812 0.411
0.751 0.188 0.911
0.751 0.312 0.411
0.755 0.249 0.162
0.755 0.251 0.662
0.757 0.063 0.913
0.757 0.125 0.158
0.757 0.188 0.405
0.757 0.312 0.905
0.757 0.375 0.658
0.757 0.437 0.413
0.759 0.561 0.416
0.759 0.939 0.916
0.760 0.625 0.654
0.760 0.875 0.154
0.770 0.000 0.682
0.770 0.500 0.182
0.988 0.247 0.482
0.988 0.253 0.982
0.990 0.187 0.749
0.990 0.313 0.249
0.991 0.563 0.254
0.991 0.937 0.754
0.993 0.063 0.753
0.993 0.189 0.261
0.993 0.311 0.761
0.993 0.437 0.253
```

***

5.
Compound: Ba2ScNbO6
Source: the Materials Project database
Functional: r²SCAN
Structure: optimized geometry

- VASP energy: -15.836 eV/atom
- Energy of formation: -3.34 eV per atom

POSCAR file:
```
Ba2ScNbO6
1.0
0.000 4.144 4.144
4.144 0.000 4.144
4.144 4.144 0.000
Ba Sc Nb O
2 1 1 6
direct
0.250 0.250 0.250
0.750 0.750 0.750
0.000 0.000 0.000
0.500 0.500 0.500
0.256 0.256 0.744
0.256 0.744 0.256
0.256 0.744 0.744
0.744 0.256 0.256
0.744 0.256 0.744
0.744 0.744 0.256
```

***

6.
Compound: BaNb10SiO19
Source: the Materials Project database
Functional: r²SCAN
Structure: optimized geometry

- VASP energy: -15.453 eV/atom
- Energy of formation: -2.68 eV per atom

POSCAR file:
```
BaNb10SiO19
1.0
7.829 0.000 0.000
-3.915 6.780 0.000
0.000 0.000 14.635
Ba Nb Si O
2 20 2 38
direct
0.333 0.667 0.000
0.667 0.333 0.500
0.046 0.227 0.582
0.114 0.476 0.248
0.137 0.687 0.408
0.181 0.954 0.582
0.227 0.181 0.082
0.313 0.450 0.408
0.333 0.667 0.740
0.361 0.886 0.248
0.450 0.137 0.908
0.476 0.361 0.748
0.524 0.639 0.248
0.550 0.863 0.408
0.639 0.114 0.748
0.667 0.333 0.240
0.687 0.550 0.908
0.773 0.819 0.582
0.819 0.046 0.082
0.863 0.313 0.908
0.886 0.524 0.748
0.954 0.773 0.082
0.000 0.000 0.299
0.000 0.000 0.799
0.000 0.000 0.186
0.000 0.000 0.686
0.051 0.259 0.007
0.078 0.227 0.328
0.094 0.453 0.490
0.100 0.507 0.828
0.134 0.698 0.161
0.149 0.922 0.328
0.158 0.734 0.671
0.208 0.949 0.007
0.227 0.149 0.828
0.259 0.208 0.507
0.266 0.424 0.671
0.302 0.436 0.161
0.358 0.906 0.490
0.407 0.900 0.828
0.424 0.158 0.171
0.436 0.134 0.661
0.453 0.358 0.990
0.493 0.593 0.828
0.507 0.407 0.328
0.547 0.642 0.490
0.564 0.866 0.161
0.576 0.842 0.671
0.593 0.100 0.328
0.642 0.094 0.990
0.698 0.564 0.661
0.734 0.576 0.171
0.741 0.792 0.007
0.773 0.851 0.328
0.792 0.051 0.507
0.842 0.266 0.171
0.851 0.078 0.828
0.866 0.302 0.661
0.900 0.493 0.328
0.906 0.547 0.990
0.922 0.773 0.828
0.949 0.741 0.507
```

***

7.
Compound: Ba2YbNbO6
Source: the Materials Project database
Functional: r²SCAN
Structure: optimized geometry

- VASP energy: -18.386 eV/atom
- Energy of formation: -3.38 eV per atom

POSCAR file:
```
Ba2YbNbO6
1.0
0.000 4.211 4.211
4.211 0.000 4.211
4.211 4.211 0.000
Ba Yb Nb O
2 1 1 6
direct
0.250 0.250 0.250
0.750 0.750 0.750
0.000 0.000 0.000
0.500 0.500 0.500
0.260 0.260 0.740
0.260 0.740 0.260
0.260 0.740 0.740
0.740 0.260 0.260
0.740 0.260 0.740
0.740 0.740 0.260
```

***

8.
Compound: Rb2BaNb2Se11
Source: the Materials Project database
Functional: r²SCAN
Structure: optimized geometry

- VASP energy: -17.368 eV/atom
- Energy of formation: -1.04 eV per atom

POSCAR file:
```
Rb2BaNb2Se11
1.0
7.963 0.000 0.000
0.000 14.041 0.000
-1.988 0.000 17.178
Rb Ba Nb Se
8 4 8 44
direct
0.205 0.118 0.233
0.205 0.382 0.733
0.236 0.042 0.916
0.236 0.458 0.416
0.764 0.542 0.584
0.764 0.958 0.084
0.795 0.618 0.267
0.795 0.882 0.767
0.250 0.121 0.532
0.250 0.379 0.032
0.750 0.621 0.968
0.750 0.879 0.468
0.222 0.716 0.895
0.222 0.784 0.395
0.356 0.672 0.695
0.356 0.828 0.195
0.644 0.172 0.805
0.644 0.328 0.305
0.778 0.216 0.605
0.778 0.284 0.105
0.005 0.692 0.445
0.005 0.808 0.945
0.058 0.676 0.749
0.058 0.824 0.249
0.098 0.544 0.895
0.098 0.956 0.395
0.117 0.705 0.156
0.117 0.795 0.656
0.296 0.552 0.602
0.296 0.948 0.102
0.340 0.136 0.735
0.340 0.364 0.235
0.340 0.623 0.025
0.340 0.877 0.525
0.355 0.661 0.304
0.355 0.839 0.804
0.425 0.573 0.824
0.425 0.927 0.324
0.460 0.216 0.388
0.460 0.284 0.888
0.492 0.686 0.434
0.492 0.814 0.934
0.508 0.186 0.066
0.508 0.314 0.566
0.540 0.716 0.112
0.540 0.784 0.612
0.575 0.073 0.676
0.575 0.427 0.176
0.645 0.161 0.196
0.645 0.339 0.696
0.660 0.123 0.475
0.660 0.377 0.975
0.660 0.636 0.765
0.660 0.864 0.265
0.704 0.052 0.898
0.704 0.448 0.398
0.883 0.205 0.344
0.883 0.295 0.844
0.902 0.044 0.605
0.902 0.456 0.105
0.942 0.176 0.751
0.942 0.324 0.251
0.995 0.192 0.055
0.995 0.308 0.555
```